Record 1
Material: Si2H18C7N2
Method: DFT, PBE
State: relaxed

**Magnetization**: 0.0 μB/cell
**SG**: P2_1/c, No. 14
**ΔE_f**: -0.248 eV/atom

a b c (Å): 10.013 11.478 12.289
angles (deg): 90.00 102.59 90.00
Positions (direct):
Si 0.010 0.044 0.268
Si 0.010 0.456 0.768
Si 0.436 0.733 0.033
Si 0.436 0.767 0.533
Si 0.564 0.233 0.467
Si 0.564 0.267 0.967
Si 0.990 0.544 0.232
Si 0.990 0.956 0.732
H 0.005 0.187 0.115
H 0.005 0.313 0.615
H 0.037 0.611 0.051
H 0.037 0.889 0.551
H 0.068 0.724 0.153
H 0.068 0.776 0.653
H 0.079 0.053 0.085
H 0.079 0.447 0.585
H 0.102 0.189 0.416
H 0.102 0.311 0.916
H 0.156 0.087 0.854
H 0.156 0.413 0.354
H 0.177 0.153 0.182
H 0.177 0.347 0.682
H 0.198 0.071 0.721
H 0.198 0.429 0.221
H 0.237 0.542 0.323
H 0.237 0.958 0.823
H 0.301 0.646 0.639
H 0.301 0.854 0.139
H 0.324 0.214 0.972
H 0.324 0.286 0.472
H 0.364 0.560 0.540
H 0.364 0.940 0.040
H 0.391 0.183 0.578
H 0.391 0.317 0.078
H 0.395 0.595 0.179
H 0.395 0.905 0.679
H 0.430 0.136 0.297
H 0.430 0.364 0.797
H 0.440 0.168 0.096
H 0.440 0.332 0.596
H 0.475 0.602 0.668
H 0.475 0.898 0.168
H 0.496 0.031 0.401
H 0.496 0.469 0.901
H 0.504 0.531 0.099
H 0.504 0.969 0.599
H 0.525 0.102 0.832
H 0.525 0.398 0.332
H 0.560 0.668 0.404
H 0.560 0.832 0.904
H 0.570 0.636 0.203
H 0.570 0.864 0.703
H 0.605 0.095 0.321
H 0.605 0.405 0.821
H 0.609 0.683 0.922
H 0.609 0.817 0.422
H 0.636 0.060 0.960
H 0.636 0.440 0.460
H 0.676 0.714 0.528
H 0.676 0.786 0.028
H 0.699 0.146 0.861
H 0.699 0.354 0.361
H 0.763 0.042 0.177
H 0.763 0.458 0.677
H 0.802 0.571 0.779
H 0.802 0.929 0.279
H 0.823 0.653 0.318
H 0.823 0.847 0.818
H 0.844 0.587 0.646
H 0.844 0.913 0.146
H 0.898 0.689 0.084
H 0.898 0.811 0.584
H 0.921 0.553 0.415
H 0.921 0.947 0.915
H 0.932 0.224 0.347
H 0.932 0.276 0.847
H 0.963 0.111 0.449
H 0.963 0.389 0.949
H 0.995 0.687 0.385
H 0.995 0.813 0.885
C 0.001 0.152 0.381
C 0.001 0.348 0.881
C 0.074 0.116 0.152
C 0.074 0.384 0.652
C 0.161 0.025 0.787
C 0.161 0.475 0.287
C 0.211 0.626 0.879
C 0.211 0.874 0.379
C 0.390 0.632 0.601
C 0.390 0.868 0.101
C 0.416 0.239 0.035
C 0.416 0.261 0.535
C 0.480 0.612 0.138
C 0.480 0.888 0.638
C 0.520 0.112 0.362
C 0.520 0.388 0.862
C 0.584 0.739 0.465
C 0.584 0.761 0.965
C 0.610 0.132 0.899
C 0.610 0.368 0.399
C 0.789 0.126 0.621
C 0.789 0.374 0.121
C 0.839 0.525 0.713
C 0.839 0.975 0.213
C 0.926 0.616 0.348
C 0.926 0.884 0.848
C 0.999 0.652 0.119
C 0.999 0.848 0.619
N 0.122 0.566 0.823
N 0.122 0.934 0.323
N 0.297 0.693 0.930
N 0.297 0.807 0.430
N 0.703 0.193 0.570
N 0.703 0.307 0.070
N 0.878 0.066 0.677
N 0.878 0.434 0.177

Record 2
Material: TaSi2H35C12N4
Method: DFT, PBE
State: relaxed

**Magnetization**: 0.0 μB/cell
**SG**: P-1, No. 2
**ΔE_f**: -0.226 eV/atom
**Polymorph energy (0 for the lowest one)**: 0.00 kJ/mol of atoms

a b c (Å): 8.346 10.255 14.748
angles (deg): 71.37 87.51 67.54
Positions (direct):
Ta 0.194 0.077 0.190
Ta 0.806 0.923 0.810
Si 0.180 0.787 0.392
Si 0.442 0.766 0.230
Si 0.558 0.234 0.770
Si 0.820 0.213 0.608
H 0.013 0.248 0.981
H 0.019 0.370 0.231
H 0.028 0.897 0.130
H 0.034 0.970 0.596
H 0.051 0.417 0.943
H 0.058 0.298 0.359
H 0.071 0.627 0.336
H 0.095 0.570 0.464
H 0.099 0.119 0.535
H 0.132 0.041 0.662
H 0.165 0.674 0.843
H 0.167 0.961 0.938
H 0.168 0.050 0.813
H 0.194 0.381 0.289
H 0.212 0.249 0.933
H 0.237 0.376 0.734
H 0.258 0.446 0.026
H 0.269 0.711 0.929
H 0.276 0.686 0.568
H 0.281 0.519 0.400
H 0.293 0.783 0.804
H 0.296 0.663 0.141
H 0.310 0.241 0.675
H 0.323 0.847 0.511
H 0.342 0.411 0.627
H 0.357 0.095 0.425
H 0.359 0.316 0.141
H 0.382 0.946 0.058
H 0.407 0.525 0.251
H 0.430 0.273 0.034
H 0.459 0.672 0.499
H 0.468 0.982 0.353
H 0.474 0.023 0.875
H 0.474 0.430 0.849
H 0.476 0.161 0.331
H 0.524 0.839 0.669
H 0.526 0.570 0.151
H 0.526 0.977 0.125
H 0.532 0.018 0.647
H 0.541 0.328 0.501
H 0.570 0.727 0.966
H 0.593 0.475 0.749
H 0.618 0.054 0.942
H 0.641 0.684 0.859
H 0.643 0.905 0.575
H 0.658 0.589 0.373
H 0.677 0.153 0.489
H 0.690 0.759 0.325
H 0.704 0.337 0.859
H 0.707 0.217 0.196
H 0.719 0.481 0.600
H 0.724 0.314 0.432
H 0.731 0.289 0.071
H 0.742 0.554 0.974
H 0.763 0.624 0.266
H 0.788 0.751 0.067
H 0.806 0.619 0.711
H 0.832 0.950 0.187
H 0.833 0.039 0.062
H 0.835 0.326 0.157
H 0.868 0.959 0.338
H 0.901 0.881 0.465
H 0.905 0.430 0.536
H 0.929 0.373 0.664
H 0.942 0.702 0.641
H 0.949 0.583 0.057
H 0.966 0.030 0.404
H 0.972 0.103 0.870
H 0.981 0.630 0.769
H 0.987 0.752 0.019
C 0.041 0.072 0.600
C 0.090 0.007 0.868
C 0.112 0.294 0.979
C 0.121 0.310 0.291
C 0.155 0.609 0.398
C 0.200 0.760 0.856
C 0.314 0.326 0.069
C 0.323 0.744 0.503
C 0.342 0.324 0.694
C 0.392 0.097 0.351
C 0.414 0.617 0.190
C 0.418 0.939 0.130
C 0.582 0.061 0.870
C 0.586 0.383 0.810
C 0.608 0.903 0.649
C 0.658 0.676 0.306
C 0.677 0.256 0.497
C 0.686 0.674 0.931
C 0.800 0.240 0.144
C 0.845 0.391 0.602
C 0.879 0.690 0.709
C 0.888 0.706 0.021
C 0.910 0.993 0.132
C 0.959 0.928 0.400
N 0.046 0.894 0.848
N 0.187 0.259 0.075
N 0.236 0.166 0.284
N 0.267 0.857 0.287
N 0.733 0.143 0.713
N 0.764 0.834 0.716
N 0.813 0.741 0.925
N 0.954 0.106 0.152

Among the records above, which one has the lowest ΔE_f? Si2H18C7N2